No. 1
Entry from Materials Project: NaCa2Al2As2O11F4 after structural relaxation (PBE).

Cell lengths 5.6203, 10.9280, 9.7065 Å; angles 90.00, 105.09, 90.00 degrees
Positions (direct):
Na1 0.0016 0.2500 0.3291
Na2 0.9984 0.7500 0.6709
Ca1 0.3926 0.0862 0.1416
Ca2 0.3926 0.4138 0.1416
Ca3 0.6074 0.5862 0.8584
Ca4 0.6074 0.9138 0.8584
Al1 0.0155 0.0906 0.7372
Al2 0.0155 0.4094 0.7372
Al3 0.9845 0.5906 0.2628
Al4 0.9845 0.9094 0.2628
As1 0.1769 0.7500 0.0396
As2 0.3750 0.7500 0.4973
As3 0.6250 0.2500 0.5027
As4 0.8231 0.2500 0.9604
O1 0.1140 0.2500 0.0727
O2 0.1333 0.2500 0.7756
O3 0.1980 0.6227 0.4424
O4 0.1980 0.8773 0.4424
O5 0.2045 0.6201 0.1468
O6 0.2045 0.8799 0.1468
O7 0.2967 0.0687 0.6551
O8 0.2967 0.4313 0.6551
O9 0.3407 0.2500 0.5482
O10 0.3852 0.7500 0.9419
O11 0.4531 0.7500 0.6798
O12 0.5469 0.2500 0.3202
O13 0.6148 0.2500 0.0581
O14 0.6593 0.7500 0.4518
O15 0.7033 0.5687 0.3449
O16 0.7033 0.9313 0.3449
O17 0.7955 0.1201 0.8532
O18 0.7955 0.3799 0.8532
O19 0.8020 0.1227 0.5576
O20 0.8020 0.3773 0.5576
O21 0.8667 0.7500 0.2244
O22 0.8860 0.7500 0.9273
F1 0.0978 0.0639 0.2808
F2 0.0978 0.4361 0.2808
F3 0.2699 0.0313 0.8954
F4 0.2699 0.4687 0.8954
F5 0.7301 0.5313 0.1046
F6 0.7301 0.9687 0.1046
F7 0.9022 0.5639 0.7192
F8 0.9022 0.9361 0.7192

Values from the calculation:
* crystal system: monoclinic
* ΔE_f: -234 kJ/mol of atoms
* symmetry: P2_1/m (11)

***

No. 2
Entry from Materials Project: Na3Ca3AlAs4 after structural relaxation (PBE).

Cell lengths 9.4751, 9.4751, 7.2328 Å; angles 90.00, 90.00, 120.00 degrees
Positions (direct):
Na1 0.1374 0.2748 0.0000
Na2 0.1374 0.8626 0.0000
Na3 0.2748 0.1374 0.5000
Na4 0.7252 0.8626 0.0000
Na5 0.8626 0.1374 0.5000
Na6 0.8626 0.7252 0.5000
Ca1 0.0506 0.5253 0.3277
Ca2 0.4747 0.5253 0.3277
Ca3 0.4747 0.9494 0.3277
Ca4 0.5253 0.0506 0.8277
Ca5 0.5253 0.4747 0.8277
Ca6 0.9494 0.4747 0.8277
Al1 0.3333 0.6667 0.7054
Al2 0.6667 0.3333 0.2054
As1 0.1902 0.3804 0.5984
As2 0.1902 0.8098 0.5984
As3 0.3333 0.6667 0.0556
As4 0.3804 0.1902 0.0984
As5 0.6196 0.8098 0.5984
As6 0.6667 0.3333 0.5556
As7 0.8098 0.1902 0.0984
As8 0.8098 0.6196 0.0984

Values from the calculation:
* crystal system: hexagonal
* ΔE_f: -83 kJ/mol of atoms
* piezoelectric modulus e_max: 0.6 C/m²
* symmetry: P6_3mc (186)

***

No. 3
Entry from Materials Project: AlAs3S5Cl4 after structural relaxation (PBE).

Cell lengths 6.6279, 10.1933, 11.9537 Å; angles 90.00, 104.24, 90.00 degrees
Positions (direct):
Al1 0.0191 0.2500 0.2199
Al2 0.9809 0.7500 0.7801
As1 0.4482 0.5822 0.1696
As2 0.4482 0.9178 0.1696
As3 0.4730 0.7500 0.4481
As4 0.5270 0.2500 0.5519
As5 0.5518 0.0822 0.8304
As6 0.5518 0.4178 0.8304
S1 0.1326 0.7500 0.3325
S2 0.1839 0.7500 0.1747
S3 0.3825 0.2500 0.8951
S4 0.4269 0.0709 0.6376
S5 0.4269 0.4291 0.6376
S6 0.5731 0.5709 0.3624
S7 0.5731 0.9291 0.3624
S8 0.6175 0.7500 0.1049
S9 0.8161 0.2500 0.8253
S10 0.8674 0.2500 0.6675
Cl1 0.0170 0.7500 0.6061
Cl2 0.1205 0.5755 0.8720
Cl3 0.1205 0.9245 0.8720
Cl4 0.3453 0.2500 0.2219
Cl5 0.6547 0.7500 0.7781
Cl6 0.8795 0.0755 0.1280
Cl7 0.8795 0.4245 0.1280
Cl8 0.9830 0.2500 0.3939

Values from the calculation:
* crystal system: monoclinic
* ΔE_f: -97 kJ/mol of atoms
* symmetry: P2_1/m (11)

***

No. 4
Entry from Materials Project: AlGaCu2As2O10 after structural relaxation (PBE).

Cell lengths 5.7611, 10.3954, 7.4715 Å; angles 90.00, 100.54, 90.00 degrees
Positions (direct):
Al1 0.1875 0.0000 0.1436
Al2 0.8125 0.5000 0.8564
Ga1 0.3117 0.3532 0.8550
Ga2 0.6883 0.8532 0.1450
Cu1 0.1621 0.8174 0.4610
Cu2 0.3398 0.5349 0.5388
Cu3 0.6602 0.0349 0.4612
Cu4 0.8379 0.3174 0.5390
As1 0.1739 0.0650 0.7245
As2 0.3244 0.2848 0.2772
As3 0.6756 0.7848 0.7228
As4 0.8261 0.5650 0.2755
O1 0.0051 0.3987 0.7629
O2 0.0923 0.6364 0.3812
O3 0.1222 0.9744 0.9043
O4 0.1330 0.1635 0.1943
O5 0.2028 0.3713 0.4338
O6 0.2956 0.9797 0.5670
O7 0.3742 0.1831 0.8044
O8 0.3813 0.3806 0.1046
O9 0.4076 0.7149 0.6179
O10 0.4814 0.9579 0.2374
O11 0.5186 0.4579 0.7626
O12 0.5924 0.2149 0.3821
O13 0.6187 0.8806 0.8954
O14 0.6258 0.6831 0.1956
O15 0.7044 0.4797 0.4330
O16 0.7972 0.8713 0.5662
O17 0.8670 0.6635 0.8057
O18 0.8778 0.4744 0.0957
O19 0.9077 0.1364 0.6188
O20 0.9949 0.8987 0.2371

Values from the calculation:
* crystal system: monoclinic
* ΔE_f: -180 kJ/mol of atoms
* symmetry: P2_1 (4)

***

No. 5
Entry from Materials Project: AlCuAsO5 after structural relaxation (PBE).

Cell lengths 7.4481, 10.3555, 5.7251 Å; angles 90.00, 100.60, 90.00 degrees
Positions (direct):
Al1 0.1468 0.1781 0.4366
Al2 0.1468 0.3219 0.9366
Al3 0.8532 0.6781 0.0634
Al4 0.8532 0.8219 0.5634
Cu1 0.4602 0.1430 0.9081
Cu2 0.4602 0.3570 0.4081
Cu3 0.5398 0.6430 0.5919
Cu4 0.5398 0.8570 0.0919
As1 0.2737 0.6091 0.0777
As2 0.2737 0.8909 0.5777
As3 0.7263 0.1091 0.4223
As4 0.7263 0.3909 0.9223
O1 0.0938 0.7011 0.1263
O2 0.0938 0.7989 0.6263
O3 0.1976 0.0140 0.3850
O4 0.1976 0.4860 0.8850
O5 0.2339 0.2223 0.7335
O6 0.2339 0.2777 0.2335
O7 0.3800 0.5389 0.3496
O8 0.3800 0.9611 0.8496
O9 0.4305 0.6952 0.9540
O10 0.4305 0.8048 0.4540
O11 0.5695 0.1952 0.5460
O12 0.5695 0.3048 0.0460
O13 0.6200 0.0389 0.1504
O14 0.6200 0.4611 0.6504
O15 0.7661 0.7223 0.7665
O16 0.7661 0.7777 0.2665
O17 0.8024 0.5140 0.1150
O18 0.8024 0.9860 0.6150
O19 0.9062 0.2011 0.3737
O20 0.9062 0.2989 0.8737

Values from the calculation:
* crystal system: monoclinic
* ΔE_f: -197 kJ/mol of atoms
* symmetry: P2_1/c (14)

***

No. 6
Entry from Materials Project: AlCu2AsO12 after structural relaxation (PBE).

Cell lengths 8.6226, 8.6226, 9.3556 Å; angles 121.81, 121.81, 53.24 degrees
Positions (direct):
Al1 0.0000 0.5000 0.0000
Al2 0.5000 0.0000 0.5000
Cu1 0.0893 0.1547 0.5907
Cu2 0.1547 0.0893 0.0907
Cu3 0.8453 0.9107 0.9093
Cu4 0.9107 0.8453 0.4093
As1 0.2220 0.7780 0.2500
As2 0.7780 0.2220 0.7500
O1 0.0673 0.3744 0.7838
O2 0.0708 0.9163 0.3893
O3 0.0837 0.9292 0.1107
O4 0.1606 0.5563 0.7519
O5 0.1674 0.2310 0.0121
O6 0.2310 0.1674 0.5121
O7 0.2360 0.5433 0.1306
O8 0.3181 0.5725 0.8534
O9 0.3744 0.0673 0.2838
O10 0.4275 0.6819 0.6466
O11 0.4437 0.8394 0.7481
O12 0.4567 0.7640 0.3694
O13 0.5433 0.2360 0.6306
O14 0.5563 0.1606 0.2519
O15 0.5725 0.3181 0.3534
O16 0.6256 0.9327 0.7162
O17 0.6819 0.4275 0.1466
O18 0.7640 0.4567 0.8694
O19 0.7690 0.8326 0.4879
O20 0.8326 0.7690 0.9879
O21 0.8394 0.4437 0.2481
O22 0.9163 0.0708 0.8893
O23 0.9292 0.0837 0.6107
O24 0.9327 0.6256 0.2162

Values from the calculation:
* crystal system: monoclinic
* ΔE_f: -71 kJ/mol of atoms
* energy above the most stable polymorph in this dataset: 39 meV/atom
* symmetry: C2/c (15)

***

No. 7
Entry from Materials Project: AlCu2AsO12 after structural relaxation (PBE).

Cell lengths 8.5172, 8.5172, 9.9184 Å; angles 120.73, 120.73, 53.08 degrees
Positions (direct):
Al1 0.0000 0.5000 0.0000
Al2 0.5000 0.0000 0.5000
Cu1 0.0954 0.1387 0.5736
Cu2 0.1387 0.0954 0.0736
Cu3 0.8613 0.9046 0.9264
Cu4 0.9046 0.8613 0.4264
As1 0.2107 0.7893 0.2500
As2 0.7893 0.2107 0.7500
O1 0.0582 0.9182 0.3802
O2 0.0700 0.5285 0.7396
O3 0.0784 0.3887 0.7624
O4 0.0818 0.9418 0.1198
O5 0.1689 0.2398 0.0127
O6 0.2270 0.5512 0.1410
O7 0.2398 0.1689 0.5127
O8 0.3887 0.0784 0.2624
O9 0.4329 0.5590 0.5351
O10 0.4410 0.5671 0.9649
O11 0.4488 0.7730 0.3590
O12 0.4715 0.9300 0.7604
O13 0.5285 0.0700 0.2396
O14 0.5512 0.2270 0.6410
O15 0.5590 0.4329 0.0351
O16 0.5671 0.4410 0.4649
O17 0.6113 0.9216 0.7376
O18 0.7602 0.8311 0.4873
O19 0.7730 0.4488 0.8590
O20 0.8311 0.7602 0.9873
O21 0.9182 0.0582 0.8802
O22 0.9216 0.6113 0.2376
O23 0.9300 0.4715 0.2604
O24 0.9418 0.0818 0.6198

Values from the calculation:
* crystal system: monoclinic
* ΔE_f: -75 kJ/mol of atoms
* energy above the most stable polymorph in this dataset: 0 meV/atom
* symmetry: C2/c (15)

***

No. 8
Entry from Materials Project: Eu3Al2As4 after structural relaxation (PBE).

Cell lengths 8.4484, 8.4484, 6.7697 Å; angles 90.36, 90.36, 75.86 degrees
Positions (direct):
Eu1 0.0984 0.9016 0.7500
Eu2 0.2507 0.5060 0.0345
Eu3 0.4940 0.7493 0.4655
Eu4 0.5060 0.2507 0.5345
Eu5 0.7493 0.4940 0.9655
Eu6 0.9016 0.0984 0.2500
Al1 0.0808 0.3292 0.5830
Al2 0.3292 0.0808 0.0830
Al3 0.6708 0.9192 0.9170
Al4 0.9192 0.6708 0.4170
As1 0.0713 0.2425 0.9316
As2 0.2133 0.5605 0.5260
As3 0.2425 0.0713 0.4316
As4 0.4395 0.7867 0.9740
As5 0.5605 0.2133 0.0260
As6 0.7575 0.9287 0.5684
As7 0.7867 0.4395 0.4740
As8 0.9287 0.7575 0.0684

Values from the calculation:
* crystal system: monoclinic
* ΔE_f: -93 kJ/mol of atoms
* symmetry: C2/c (15)

***

What is the formula in the fifth record?
AlCuAsO5

***

Among the records above, which one has the lowest ΔE_f?
NaCa2Al2As2O11F4

***

Which of these has the lowest ΔE_f?
NaCa2Al2As2O11F4